No. 1
# Ga6SnTe10

Crystalline Ga6SnTe10 at its relaxed geometry (PBE, the Materials Project).

Energy of formation from the pure elements ... -0.57 eV per atom
Calculated total energy ... -354.8 eV/cell

```
Ga6SnTe10
1.0
14.797 0.000 0.000
-7.399 12.815 0.000
0.000 0.000 18.131
Ga Sn Te
36 6 60
Direct
0.008 0.925 0.414
0.075 0.083 0.747
0.078 0.220 0.931
0.083 0.075 0.253
0.115 0.523 0.934
0.142 0.922 0.597
0.188 0.446 0.407
0.220 0.078 0.069
0.253 0.660 0.749
0.253 0.676 0.251
0.257 0.812 0.074
0.324 0.577 0.584
0.340 0.593 0.082
0.407 0.747 0.415
0.408 0.885 0.601
0.423 0.747 0.917
0.446 0.188 0.593
0.477 0.592 0.268
0.523 0.115 0.066
0.554 0.743 0.740
0.577 0.324 0.416
0.592 0.477 0.732
0.593 0.340 0.918
0.660 0.253 0.251
0.676 0.253 0.749
0.743 0.554 0.260
0.747 0.407 0.585
0.747 0.423 0.083
0.780 0.858 0.264
0.812 0.257 0.926
0.858 0.780 0.736
0.885 0.408 0.399
0.917 0.992 0.081
0.922 0.142 0.403
0.925 0.008 0.586
0.992 0.917 0.919
0.086 0.740 0.845
0.260 0.346 0.178
0.346 0.260 0.822
0.654 0.914 0.511
0.740 0.086 0.155
0.914 0.654 0.489
0.000 0.159 0.167
0.000 0.750 0.667
0.001 0.332 0.337
0.034 0.901 0.062
0.060 0.526 0.794
0.083 0.662 0.007
0.099 0.134 0.396
0.134 0.099 0.604
0.134 0.275 0.791
0.141 0.866 0.458
0.159 0.000 0.833
0.171 0.510 0.164
0.176 0.393 0.545
0.199 0.632 0.395
0.217 0.824 0.212
0.235 0.699 0.605
0.250 0.250 0.000
0.275 0.134 0.209
0.301 0.536 0.939
0.331 0.999 0.004
0.332 0.001 0.663
0.338 0.422 0.340
0.339 0.829 0.831
0.368 0.567 0.728
0.393 0.176 0.455
0.422 0.338 0.660
0.433 0.801 0.061
0.464 0.765 0.272
0.466 0.940 0.461
0.474 0.534 0.128
0.490 0.661 0.497
0.510 0.171 0.836
0.526 0.060 0.206
0.534 0.474 0.872
0.536 0.301 0.061
0.567 0.368 0.272
0.578 0.917 0.673
0.607 0.783 0.879
0.632 0.199 0.605
0.661 0.490 0.503
0.662 0.083 0.993
0.668 0.669 0.670
0.669 0.668 0.330
0.699 0.235 0.395
0.725 0.859 0.124
0.750 0.000 0.333
0.765 0.464 0.728
0.783 0.607 0.121
0.801 0.433 0.939
0.824 0.217 0.788
0.829 0.339 0.169
0.841 0.841 0.500
0.859 0.725 0.876
0.866 0.141 0.542
0.866 0.966 0.729
0.901 0.034 0.938
0.917 0.578 0.327
0.940 0.466 0.539
0.966 0.866 0.271
0.999 0.331 0.996
```

No. 2
# PaFe3

Crystalline PaFe3 at its relaxed geometry (PBE, the Materials Project).

Energy of formation from the pure elements ... -0.01 eV per atom
Calculated total energy ... -35.0 eV/cell

```
PaFe3
1.0
3.847 0.000 0.000
0.000 3.847 0.000
0.000 0.000 3.858
Pa Fe
1 3
Direct
0.000 0.000 0.000
0.000 0.500 0.500
0.500 0.000 0.500
0.500 0.500 0.000
```

No. 3
# NdIn4Au2

Crystalline NdIn4Au2 at its relaxed geometry (PBE, the Materials Project).

Energy of formation from the pure elements ... -0.42 eV per atom
Calculated total energy ... -100.9 eV/cell

```
NdIn4Au2
1.0
18.933 0.000 0.000
0.000 4.711 0.000
0.000 0.000 7.539
Nd In Au
4 16 8
Direct
0.142 0.250 0.026
0.358 0.750 0.526
0.642 0.250 0.474
0.858 0.750 0.974
0.036 0.750 0.855
0.068 0.250 0.489
0.185 0.750 0.326
0.188 0.750 0.736
0.312 0.250 0.236
0.315 0.250 0.826
0.432 0.750 0.989
0.464 0.250 0.355
0.536 0.750 0.645
0.568 0.250 0.011
0.685 0.750 0.174
0.688 0.750 0.764
0.812 0.250 0.264
0.815 0.250 0.674
0.932 0.750 0.511
0.964 0.250 0.145
0.039 0.750 0.244
0.219 0.250 0.534
0.281 0.750 0.034
0.461 0.250 0.744
0.539 0.750 0.256
0.719 0.250 0.966
0.781 0.750 0.466
0.961 0.250 0.756
```

No. 4
# K2TeO6

Crystalline K2TeO6 at its relaxed geometry (PBE, the Materials Project).

Energy of formation from the pure elements ... -0.65 eV per atom
Calculated total energy ... -147.2 eV/cell

```
K2TeO6
1.0
7.499 0.000 0.000
0.000 6.980 0.000
0.000 0.000 13.118
K Te O
8 4 24
Direct
0.016 0.250 0.072
0.020 0.250 0.400
0.480 0.750 0.900
0.484 0.750 0.572
0.516 0.250 0.428
0.520 0.250 0.100
0.980 0.750 0.600
0.984 0.750 0.928
0.010 0.750 0.214
0.490 0.250 0.714
0.510 0.750 0.286
0.990 0.250 0.786
0.139 0.042 0.828
0.139 0.458 0.828
0.180 0.750 0.106
0.228 0.514 0.493
0.228 0.986 0.493
0.237 0.750 0.746
0.263 0.250 0.246
0.272 0.014 0.993
0.272 0.486 0.993
0.320 0.250 0.606
0.361 0.542 0.328
0.361 0.958 0.328
0.639 0.042 0.672
0.639 0.458 0.672
0.680 0.750 0.394
0.728 0.514 0.007
0.728 0.986 0.007
0.737 0.750 0.754
0.763 0.250 0.254
0.772 0.014 0.507
0.772 0.486 0.507
0.820 0.250 0.894
0.861 0.542 0.172
0.861 0.958 0.172
```

No. 5
# Si3Os

Crystalline Si3Os at its relaxed geometry (PBE, the Materials Project).

Energy of formation from the pure elements ... 0.27 eV per atom
Calculated total energy ... -26.4 eV/cell

```
Si3Os
1.0
-2.134 2.134 3.003
2.134 -2.134 3.003
2.134 2.134 -3.003
Si Os
3 1
Direct
0.000 0.000 0.000
0.250 0.750 0.500
0.750 0.250 0.500
0.500 0.500 0.000
```

No. 6
# RbTiS2

Crystalline RbTiS2 at its relaxed geometry (PBE, the Materials Project).

Energy of formation from the pure elements ... -1.52 eV per atom
Calculated total energy ... -22.2 eV/cell

```
RbTiS2
1.0
1.843 1.064 7.646
-1.843 1.064 7.646
0.000 -2.128 7.646
Rb Ti S
1 1 2
Direct
0.000 0.000 0.000
0.169 0.169 0.169
0.561 0.561 0.561
0.776 0.776 0.776
```